Entry 1:
An optimized crystal structure of TiAs2. Source: the Materials Project, functional r2SCAN.

```
TiAs2
1.0
-0.2234 -3.2898 1.1507
8.1295 -1.7084 -3.3061
5.4457 3.6537 11.5028
Ti As
8 16
direct
0.0000 0.6727 0.9927
0.0000 0.5180 0.2474
0.0000 0.4820 0.7526
0.5000 0.8273 0.4927
0.5000 0.9820 0.7474
0.5000 0.1727 0.5073
0.5000 0.0180 0.2526
0.0000 0.3273 0.0073
0.5000 0.4880 0.9003
0.5000 0.7245 0.3025
0.0000 0.0120 0.4003
0.0000 0.7755 0.8025
0.5000 0.1137 0.0579
0.5000 0.3326 0.3359
0.5000 0.6674 0.6641
0.0000 0.1674 0.8359
0.0000 0.6137 0.4421
0.0000 0.3863 0.5579
0.0000 0.2245 0.1975
0.0000 0.9880 0.5997
0.5000 0.2755 0.6975
0.5000 0.5120 0.0997
0.0000 0.8326 0.1641
0.5000 0.8863 0.9421
```


Entry 2:
An optimized crystal structure of BaCl2. Source: the Materials Project, functional r2SCAN.

```
BaCl2
1.0
-2.6249 -3.6823 2.5978
2.4964 -4.2214 1.7736
0.7590 -0.6206 5.1222
Ba Cl
1 2
direct
0.0000 0.0000 0.0000
0.7500 0.7500 0.7500
0.2500 0.2500 0.2500
```


Entry 3:
An optimized crystal structure of Nd6Ni20P13. Source: the Materials Project, functional r2SCAN.

```
Nd6Ni20P13
1.0
6.3560 -11.0086 0.0000
6.3560 11.0086 0.0000
0.0000 0.0000 3.8294
Nd Ni P
6 20 13
direct
0.8005 0.9488 0.0000
0.0512 0.8518 0.0000
0.1483 0.1995 0.0000
0.5183 0.1332 0.5000
0.8668 0.3851 0.5000
0.6149 0.4817 0.5000
0.5257 0.7718 0.0000
0.2282 0.7539 0.0000
0.2461 0.4742 0.0000
0.0000 0.0000 0.5000
0.4016 0.8100 0.5000
0.1901 0.5917 0.5000
0.4082 0.5985 0.5000
0.6667 0.3333 0.0000
0.7717 0.6906 0.0000
0.3094 0.0811 0.0000
0.9189 0.2283 0.0000
0.6434 0.7368 0.5000
0.2632 0.9066 0.5000
0.0934 0.3566 0.5000
0.3585 0.2587 0.5000
0.7413 0.0998 0.5000
0.9001 0.6415 0.5000
0.5718 0.9837 0.0000
0.0163 0.5881 0.0000
0.4119 0.4282 0.0000
0.8522 0.7987 0.5000
0.2013 0.0536 0.5000
0.9464 0.1477 0.5000
0.6040 0.8981 0.5000
0.1019 0.7059 0.5000
0.2941 0.3960 0.5000
0.4660 0.2805 0.0000
0.7195 0.1855 0.0000
0.8145 0.5340 0.0000
0.3742 0.9442 0.0000
0.0558 0.4300 0.0000
0.5700 0.6258 0.0000
0.3333 0.6666 0.0000
```


Entry 4:
An optimized crystal structure of Tb2Ga3Cu. Source: the Materials Project, functional r2SCAN.

```
Tb2Ga3Cu
1.0
-1.2946 4.0159 -1.0252
1.5930 -0.8242 3.9545
6.6912 1.5515 -2.3722
Tb Ga Cu
2 3 1
direct
0.0000 0.0000 0.7310
0.0000 0.0000 0.2621
0.3333 0.6667 0.4789
0.3333 0.6667 0.0433
0.6667 0.3333 0.9516
0.6667 0.3333 0.5331
```


Entry 5:
An optimized crystal structure of TbYbHg2. Source: the Materials Project, functional r2SCAN.

```
TbYbHg2
1.0
0.0000 3.6677 3.6677
3.6677 0.0000 3.6677
3.6677 3.6677 0.0000
Tb Yb Hg
1 1 2
direct
0.5000 0.5000 0.5000
0.0000 0.0000 0.0000
0.2500 0.2500 0.2500
0.7500 0.7500 0.7500
```


Entry 6:
An optimized crystal structure of SmMg. Source: the Materials Project, functional r2SCAN.

```
SmMg
1.0
-3.0797 -2.3103 -0.1434
1.1901 -1.7851 3.2000
-1.9853 2.5137 2.1406
Sm Mg
1 1
direct
0.5000 0.5000 0.5000
0.0000 0.0000 0.0000
```


Taking the records one at a time from the top gives formation energy values of -0.691, -2.816, -0.906, -0.687, -0.578, -0.104 eV/atom.
Taking the records one at a time from the top gives magnetic moment values of 0.00, 0.00, 0.00, 0.00, 0.00, 0.08 μB per atom.